A relaxed Nd6Mo10O39 crystal, computed with PBE+U.

Cell lengths 11.9167, 11.9167, 14.1642 Å; angles 84.16, 84.16, 115.89 degrees
Closest atoms and distances in Å follow each position.
Fractional positions:
O 0.0382 0.4402 0.5816  1 Mo 1.78
O 0.7858 0.6557 0.3878  1 Mo 1.77
O 0.7246 0.7344 0.5867  1 Mo 1.80
O 0.2345 0.6744 0.4302  1 Mo 1.83
O 0.4635 0.5676 0.6400  1 Mo 1.78
O 0.2656 0.2754 0.9133  1 Mo 1.80
O 0.3256 0.7655 0.0698  1 Mo 1.83
O 0.8581 0.3590 0.7559  1 Mo 1.82
O 0.5365 0.4324 0.3600  1 Mo 1.78
O 0.5221 0.2014 0.2651  1 Mo 1.78
O 0.7768 0.4362 0.0322  1 Mo 1.84
O 0.9940 0.4363 0.1242  1 Mo 1.79
O 0.0791 0.3708 0.2983  1 Mo 1.76
O 0.1419 0.6410 0.2441  1 Mo 1.82
O 0.1722 0.3259 0.1113  1 Mo 1.77
O 0.5637 0.0060 0.3758  1 Mo 1.79
O 0.1066 0.8272 0.3554  1 Mo 1.79
O 0.8742 0.1258 0.2500  2 Mo 1.91
O 0.0060 0.5637 0.8758  1 Mo 1.79
O 0.1258 0.8742 0.7500  2 Mo 1.91
O 0.8934 0.1728 0.6446  1 Mo 1.79
O 0.5676 0.4635 0.1400  1 Mo 1.78
O 0.3334 0.0223 0.4223  1 Mo 1.78
O 0.6557 0.7858 0.8878  1 Mo 1.77
O 0.0627 0.8471 0.5545  1 Mo 1.76
O 0.5598 0.9618 0.9184  1 Mo 1.78
O 0.2939 0.8164 0.8662  1 Mo 1.76
O 0.8272 0.1066 0.8554  1 Mo 1.79
O 0.1836 0.7061 0.6338  1 Mo 1.76
O 0.6290 0.4598 0.5652  1 Mo 1.84
O 0.3259 0.1722 0.6113  1 Mo 1.77
O 0.8278 0.6741 0.8887  1 Mo 1.77
O 0.8699 0.8811 0.7357  1 Mo 1.79
O 0.2014 0.5221 0.7651  1 Mo 1.78
O 0.9182 0.9224 0.9349  1 Mo 1.84
O 0.4324 0.5365 0.8600  1 Mo 1.78
O 0.4598 0.6290 0.0652  1 Mo 1.84
O 0.1301 0.1189 0.2643  1 Mo 1.79
O 0.6599 0.5467 0.7549  1 Mo 1.82
O 0.5402 0.3710 0.9348  1 Mo 1.84
O 0.1728 0.8934 0.1446  1 Mo 1.79
O 0.4533 0.3401 0.7451  1 Mo 1.82
O 0.0776 0.0818 0.5651  1 Mo 1.84
O 0.6744 0.2345 0.9302  1 Mo 1.83
O 0.7655 0.3256 0.5698  1 Mo 1.83
O 0.3590 0.8581 0.2559  1 Mo 1.82
O 0.6292 0.9209 0.2017  1 Mo 1.76
O 0.1189 0.1301 0.7643  1 Mo 1.79
O 0.8164 0.2939 0.3662  1 Mo 1.76
O 0.8471 0.0627 0.0545  1 Mo 1.76
O 0.3401 0.4533 0.2451  1 Mo 1.82
O 0.4363 0.9940 0.6242  1 Mo 1.79
O 0.6666 0.9777 0.5777  1 Mo 1.78
O 0.2232 0.5638 0.9678  1 Mo 1.84
O 0.9618 0.5598 0.4184  1 Mo 1.78
O 0.2754 0.2656 0.4133  1 Mo 1.80
O 0.3710 0.5402 0.4348  1 Mo 1.84
O 0.2142 0.3443 0.6122  1 Mo 1.77
O 0.5638 0.2232 0.4678  1 Mo 1.84
O 0.8811 0.8699 0.2357  1 Mo 1.79
O 0.9224 0.9182 0.4349  1 Mo 1.84
O 0.4402 0.0382 0.0816  1 Mo 1.78
O 0.3708 0.0791 0.7983  1 Mo 1.76
O 0.1529 0.9373 0.9455  1 Mo 1.76
O 0.6741 0.8278 0.3887  1 Mo 1.77
O 0.5467 0.6599 0.2549  1 Mo 1.82
O 0.0818 0.0776 0.0651  1 Mo 1.84
O 0.7344 0.7246 0.0867  1 Mo 1.80
O 0.4779 0.7986 0.7349  1 Mo 1.78
O 0.7061 0.1836 0.1338  1 Mo 1.76
O 0.9777 0.6666 0.0777  1 Mo 1.78
O 0.7986 0.4779 0.2349  1 Mo 1.78
O 0.0223 0.3334 0.9223  1 Mo 1.78
O 0.9209 0.6292 0.7017  1 Mo 1.76
O 0.4362 0.7768 0.5322  1 Mo 1.84
O 0.6410 0.1419 0.7441  1 Mo 1.82
O 0.9373 0.1529 0.4455  1 Mo 1.76
O 0.3443 0.2142 0.1122  1 Mo 1.77
Nd 0.4390 0.7357 0.9145  8 O 2.36-2.60
Nd 0.2643 0.5610 0.5855  8 O 2.36-2.60
Nd 0.1465 0.0302 0.4158  7 O 2.28-2.54
Nd 0.7825 0.4717 0.8529  7 O 2.35-2.60
Nd 0.7357 0.4390 0.4145  8 O 2.36-2.60
Nd 0.5610 0.2643 0.0855  8 O 2.36-2.60
Nd 0.9698 0.8535 0.0842  7 O 2.28-2.54
Nd 0.5283 0.2175 0.6471  7 O 2.35-2.60
Nd 0.0302 0.1465 0.9158  7 O 2.28-2.54
Nd 0.8535 0.9698 0.5842  7 O 2.28-2.54
Nd 0.4717 0.7825 0.3529  7 O 2.35-2.60
Nd 0.2175 0.5283 0.1471  7 O 2.35-2.60
Mo 0.1840 0.1847 0.6389  4 O 1.77-1.84
Mo 0.4989 0.1155 0.3816  4 O 1.78-1.84
Mo 0.8845 0.5011 0.1184  4 O 1.78-1.84
Mo 0.9306 0.2400 0.3396  4 O 1.76-1.91
Mo 0.5741 0.6159 0.1384  4 O 1.78-1.84
Mo 0.5011 0.8845 0.6184  4 O 1.78-1.84
Mo 0.6159 0.5741 0.6384  4 O 1.78-1.84
Mo 0.0694 0.7600 0.6604  4 O 1.76-1.91
Mo 0.1155 0.4989 0.8816  4 O 1.78-1.84
Mo 0.2400 0.9306 0.8396  4 O 1.76-1.91
Mo 0.1138 0.6794 0.3624  4 O 1.78-1.83
Mo 0.4259 0.3841 0.8616  4 O 1.78-1.84
Mo 0.3206 0.8862 0.1376  4 O 1.78-1.83
Mo 0.8153 0.8160 0.8611  4 O 1.77-1.84
Mo 0.8160 0.8153 0.3611  4 O 1.77-1.84
Mo 0.7600 0.0694 0.1604  4 O 1.76-1.91
Mo 0.1847 0.1840 0.1389  4 O 1.77-1.84
Mo 0.8862 0.3206 0.6376  4 O 1.78-1.83
Mo 0.3841 0.4259 0.3616  4 O 1.78-1.84
Mo 0.6794 0.1138 0.8624  4 O 1.78-1.83

M_tot, μB per cell: 0.0
Energy, eV/atom: -7.50
Energy of formation from the pure elements, eV per atom: -2.5644
Space group: C2/c

---

A relaxed Li8Mn2O7 crystal, computed with PBE+U.

Cell lengths 10.1189, 7.6715, 9.6009 Å; angles 68.59, 90.00, 90.00 degrees
Closest atoms and distances in Å follow each position.
Fractional positions:
Li 0.9920 0.3479 0.9809  4 O 1.97-2.05
Li 0.2789 0.2853 0.4121  4 O 1.94-2.15
Li 0.4920 0.6521 0.5191  4 O 1.97-2.05
Li 0.9719 0.9023 0.4225  4 O 1.97-2.17
Li 0.2615 0.5077 0.6229  4 O 2.01-2.08
Li 0.0080 0.6521 0.0191  4 O 1.97-2.05
Li 0.9824 0.5795 0.3662  4 O 1.85-2.06
Li 0.5176 0.5795 0.8662  4 O 1.85-2.06
Li 0.7789 0.7147 0.0879  4 O 1.94-2.15
Li 0.9814 0.8864 0.1328  4 O 1.94-2.03
Li 0.9568 0.2719 0.3060  3 O 1.92-2.14
Li 0.4814 0.1136 0.3672  4 O 1.94-2.03
Li 0.0176 0.4205 0.6338  4 O 1.85-2.06
Li 0.7692 0.0944 0.9539  2 O 1.93-2.07
Li 0.7385 0.4923 0.3771  4 O 2.01-2.08
Li 0.5186 0.8864 0.6328  4 O 1.94-2.03
Li 0.2385 0.5077 0.1229  4 O 2.01-2.08
Li 0.4824 0.4205 0.1338  4 O 1.85-2.06
Li 0.2692 0.9056 0.5461  2 O 1.93-2.07
Li 0.0186 0.1136 0.8672  4 O 1.94-2.03
Li 0.0281 0.0977 0.5775  4 O 1.97-2.17
Li 0.4719 0.0977 0.0775  4 O 1.97-2.17
Li 0.7211 0.7147 0.5879  4 O 1.94-2.15
Li 0.2308 0.9056 0.0461  2 O 1.93-2.07
Li 0.7308 0.0944 0.4539  2 O 1.93-2.07
Li 0.0432 0.7281 0.6940  3 O 1.92-2.14
Li 0.2211 0.2853 0.9121  4 O 1.94-2.15
Li 0.7615 0.4923 0.8771  4 O 2.01-2.08
Li 0.5080 0.3479 0.4809  4 O 1.97-2.05
Li 0.5281 0.9023 0.9225  4 O 1.97-2.17
Li 0.5432 0.2719 0.8060  3 O 1.92-2.14
Li 0.4568 0.7281 0.1940  3 O 1.92-2.14
O 0.1702 0.9039 0.7184  3 Li 1.93-2.15, 2 Mn 1.94-1.99
O 0.6702 0.0961 0.7816  3 Li 1.93-2.15, 2 Mn 1.94-1.99
O 0.6132 0.3277 0.3104  1 Mn 1.90, 4 Li 2.01-2.06
O 0.4023 0.1027 0.5608  1 Mn 1.92, 5 Li 1.94-2.07
O 0.8991 0.3403 0.4948  1 Mn 1.93, 4 Li 1.99-2.14
O 0.8877 0.8749 0.6143  1 Mn 1.89, 2 Li 1.92-1.97
O 0.9023 0.8973 0.9392  1 Mn 1.92, 5 Li 1.94-2.07
O 0.1009 0.6597 0.5052  1 Mn 1.93, 4 Li 1.99-2.14
O 0.3991 0.6597 0.0052  1 Mn 1.93, 4 Li 1.99-2.14
O 0.6123 0.8749 0.1143  1 Mn 1.89, 2 Li 1.92-1.97
O 0.3420 0.2677 0.2264  1 Mn 1.84, 4 Li 1.85-2.03
O 0.8604 0.4722 0.0642  1 Mn 1.88, 3 Li 1.97-2.01
O 0.1396 0.5278 0.9358  1 Mn 1.88, 3 Li 1.97-2.01
O 0.6580 0.7323 0.7736  1 Mn 1.84, 4 Li 1.85-2.03
O 0.5977 0.8973 0.4392  1 Mn 1.92, 5 Li 1.94-2.07
O 0.3877 0.1251 0.8857  1 Mn 1.89, 2 Li 1.92-1.97
O 0.1123 0.1251 0.3857  1 Mn 1.89, 2 Li 1.92-1.97
O 0.1580 0.2677 0.7264  1 Mn 1.84, 4 Li 1.85-2.03
O 0.8868 0.3277 0.8104  1 Mn 1.90, 4 Li 2.01-2.06
O 0.1132 0.6723 0.1896  1 Mn 1.90, 4 Li 2.01-2.06
O 0.8298 0.0961 0.2816  3 Li 1.93-2.15, 2 Mn 1.94-1.99
O 0.3298 0.9039 0.2184  3 Li 1.93-2.15, 2 Mn 1.94-1.99
O 0.8420 0.7323 0.2736  1 Mn 1.84, 4 Li 1.85-2.03
O 0.3868 0.6723 0.6896  1 Mn 1.90, 4 Li 2.01-2.06
O 0.6396 0.4722 0.5642  1 Mn 1.88, 3 Li 1.97-2.01
O 0.0977 0.1027 0.0608  1 Mn 1.92, 5 Li 1.94-2.07
O 0.3604 0.5278 0.4358  1 Mn 1.88, 3 Li 1.97-2.01
O 0.6009 0.3403 0.9948  1 Mn 1.93, 4 Li 1.99-2.14
Mn 0.7081 0.8933 0.2778  4 O 1.84-1.99
Mn 0.2919 0.1067 0.7222  4 O 1.84-1.99
Mn 0.7919 0.8933 0.7778  4 O 1.84-1.99
Mn 0.2081 0.1067 0.2222  4 O 1.84-1.99
Mn 0.7768 0.3062 0.6571  4 O 1.88-1.94
Mn 0.2232 0.6938 0.3429  4 O 1.88-1.94
Mn 0.7232 0.3062 0.1571  4 O 1.88-1.94
Mn 0.2768 0.6938 0.8429  4 O 1.88-1.94

M_tot, μB per cell: 32.0
Energy, eV/atom: -5.54
Energy of formation from the pure elements, eV per atom: -2.0015
Space group: P2_1/c

---

A relaxed Li3MnCo2O6 crystal, computed with PBE+U.

Cell lengths 5.0862, 7.8298, 5.9019 Å; angles 79.33, 106.17, 102.02 degrees
Closest atoms and distances in Å follow each position.
Fractional positions:
Co 0.0000 0.3299 0.6700  6 O 2.06-2.13
Co 0.4998 0.4962 0.5036  6 O 1.97-2.11
Co 0.9997 0.0033 0.9968  6 O 2.06-2.13
Co 0.5007 0.8372 0.1628  6 O 1.97-2.11
O 0.7238 0.4021 0.8266  1 Mn 1.95, 2 Co 2.02-2.10, 2 Li 2.06-2.15
O 0.7542 0.7480 0.0310  1 Mn 1.95, 2 Co 1.97-2.13, 2 Li 2.13-2.18
O 0.7388 0.0896 0.6797  1 Mn 1.95, 2 Co 2.06-2.07, 2 Li 2.10-2.12
O 0.7573 0.4397 0.3449  1 Mn 1.94, 2 Co 1.97-2.11, 1 Li 2.11
O 0.2742 0.2488 0.5197  1 Mn 1.96, 2 Co 2.04-2.10, 2 Li 2.05-2.14
O 0.2760 0.9313 0.8404  1 Mn 1.96, 2 Co 2.02-2.10, 2 Li 2.06-2.15
O 0.2455 0.5851 0.6351  1 Mn 1.95, 2 Co 1.97-2.13, 2 Li 2.13-2.18
O 0.2431 0.8939 0.3220  1 Mn 1.94, 2 Co 1.97-2.11, 1 Li 2.11
O 0.2389 0.5899 0.1793  1 Mn 1.95, 2 Co 2.11, 2 Li 2.12-2.13
O 0.7612 0.7432 0.4873  1 Mn 1.94, 2 Co 2.11, 2 Li 2.11-2.13
O 0.7259 0.0845 0.1473  1 Mn 1.96, 2 Co 2.03-2.10, 2 Li 2.05-2.14
O 0.2611 0.2438 0.9872  1 Mn 1.95, 2 Co 2.06-2.07, 2 Li 2.10-2.12
Mn 0.0002 0.6668 0.3332  6 O 1.94-1.95
Mn 0.4999 0.1669 0.8333  6 O 1.95-1.96
Li 0.0010 0.3324 0.1647  6 O 2.13-2.24
Li 0.9997 0.6666 0.8333  6 O 2.11-2.25
Li 0.9991 0.0009 0.5017  6 O 2.13-2.23
Li 0.4991 0.4963 0.0026  6 O 2.06-2.26
Li 0.4995 0.1664 0.3334  6 O 2.05-2.27
Li 0.5011 0.8371 0.6641  6 O 2.06-2.26

M_tot, μB per cell: 20.0
Energy, eV/atom: -5.98
Energy of formation from the pure elements, eV per atom: -1.8347
E above lowest polymorph, eV per atom: 0.0000
Space group: P-1

---

A relaxed Ga2NiO4 crystal, computed with PBE+U.

Cell lengths 5.8907, 10.3223, 5.9822 Å; angles 75.08, 60.51, 73.42 degrees
Closest atoms and distances in Å follow each position.
Fractional positions:
O 0.4627 0.6954 0.9112  1 Ni 1.99, 3 Ga 2.01-2.03
O 0.4366 0.7071 0.4195  3 Ga 2.00-2.01, 1 Ni 2.02
O 0.9375 0.2041 0.9210  1 Ni 1.99, 3 Ga 2.02
O 0.1943 0.9296 0.2135  1 Ni 1.99, 3 Ga 2.02-2.03
O 0.6985 0.4286 0.7108  1 Ni 1.99, 3 Ga 2.01-2.02
O 0.2039 0.9388 0.6534  1 Ni 1.99, 3 Ga 2.01-2.03
O 0.6625 0.9295 0.2136  1 Ni 1.99, 3 Ga 2.02-2.03
O 0.1621 0.4286 0.7108  1 Ni 1.99, 3 Ga 2.01-2.02
O 0.6884 0.9178 0.7055  3 Ga 2.00-2.01, 1 Ni 2.02
O 0.4214 0.1898 0.9674  1 Ni 2.00, 3 Ga 2.01-2.04
O 0.1875 0.4210 0.2039  1 Ni 1.99, 3 Ga 2.02
O 0.9307 0.6953 0.9115  1 Ni 1.99, 3 Ga 2.02-2.03
O 0.7036 0.4352 0.1576  1 Ni 2.00, 3 Ga 2.01-2.04
O 0.9629 0.1964 0.4142  1 Ni 1.99, 3 Ga 2.01-2.02
O 0.9210 0.6862 0.4717  1 Ni 1.99, 3 Ga 2.01-2.03
O 0.4265 0.1964 0.4141  1 Ni 1.99, 3 Ga 2.01-2.02
Ga 0.8128 0.5617 0.8128  6 O 2.01-2.04
Ga 0.3122 0.0632 0.3122  6 O 2.01-2.04
Ga 0.5625 0.8125 0.5625  6 O 2.01-2.03
Ga 0.0625 0.3125 0.0625  6 O 2.01-2.02
Ga 0.0625 0.8125 0.5625  6 O 2.01-2.03
Ga 0.0625 0.3125 0.5624  6 O 2.01-2.02
Ga 0.5625 0.8125 0.0625  6 O 2.00-2.03
Ga 0.5625 0.3125 0.0625  6 O 2.01-2.02
Ni 0.6276 0.1230 0.6216  4 O 1.99-2.02
Ni 0.4973 0.5020 0.5034  4 O 1.99-2.02
Ni 0.1256 0.6241 0.1252  4 O 1.99
Ni 0.9993 0.0011 0.0000  4 O 1.99

M_tot, μB per cell: 0.0
Energy, eV/atom: -5.70
Energy of formation from the pure elements, eV per atom: -1.9344
E above lowest polymorph, eV per atom: 0.0759
Space group: C2/m